Cs2HgBr4: optimized geometry, r²SCAN.

Output
DFT formation energy, eV/f.u.: -10.0
Calculated total energy, eV/cell: -650.620
Energy relative to the lowest polymorph listed for this composition, meV per atom: 0

a = 7.8531 Å, b = 10.5798 Å, c = 15.2189 Å
α = 67.66°, β = 90.00°, γ = 90.00°
With the nearest neighbours (Å) after each atom.
Fractional positions:
Br1 0.9866 0.7195 0.8752  1 Hg 2.65
Cs1 0.7498 0.0394 0.8305  6 Br 3.61-3.81
Br2 0.7510 0.9463 0.5937  1 Hg 2.67
Br3 0.4889 0.2782 0.1268  1 Hg 2.66
Hg1 0.2492 0.7827 0.9602  4 Br 2.62-2.67
Cs2 0.2492 0.4151 0.3955  8 Br 3.66-4.04
Hg2 0.2508 0.7827 0.4602  4 Br 2.62-2.67
Br4 0.7490 0.9463 0.0937  1 Hg 2.67
Hg3 0.7492 0.2173 0.5397  4 Br 2.62-2.67
Br5 0.2490 0.0537 0.4063  1 Hg 2.67
Cs3 0.2502 0.9606 0.1695  6 Br 3.61-3.81
Br6 0.2504 0.6363 0.6428  1 Hg 2.62
Cs4 0.2508 0.4151 0.8955  8 Br 3.66-4.04
Br7 0.7504 0.3637 0.8572  1 Hg 2.62
Cs5 0.7508 0.5849 0.6045  8 Br 3.66-4.04
Br8 0.2496 0.6363 0.1428  1 Hg 2.62
Br9 0.0134 0.2805 0.1248  1 Hg 2.65
Cs6 0.7492 0.5849 0.1045  8 Br 3.66-4.04
Cs7 0.2498 0.9606 0.6695  6 Br 3.61-3.81
Hg4 0.7508 0.2173 0.0398  4 Br 2.62-2.67
Br10 0.7496 0.3637 0.3572  1 Hg 2.62
Br11 0.5111 0.7218 0.8732  1 Hg 2.66
Br12 0.5134 0.7195 0.3752  1 Hg 2.65
Br13 0.0111 0.2782 0.6268  1 Hg 2.66
Br14 0.9889 0.7218 0.3732  1 Hg 2.66
Cs8 0.7502 0.0394 0.3305  6 Br 3.61-3.81
Br15 0.4866 0.2805 0.6248  1 Hg 2.65
Br16 0.2510 0.0537 0.9063  1 Hg 2.67

Cs3Ho2Br9: optimized geometry, r²SCAN.

Output
DFT formation energy, eV/f.u.: -30.4
Calculated total energy, eV/cell: -581.572

a = 10.2488 Å, b = 10.2488 Å, c = 10.2488 Å
α = 83.64°, β = 83.64°, γ = 83.64°
With the nearest neighbours (Å) after each atom.
Fractional positions:
Br1 0.4067 0.2500 0.0933  2 Ho 2.88
Br2 0.5933 0.7500 0.9067  2 Ho 2.88
Ho1 0.1516 0.1516 0.1516  6 Br 2.69-2.88
Br3 0.2348 0.4176 0.5834  1 Ho 2.69
Br4 0.2652 0.9166 0.0824  1 Ho 2.69
Br5 0.9166 0.0824 0.2652  1 Ho 2.69
Cs1 0.5886 0.9114 0.2500  12 Br 3.88-4.04
Ho2 0.6516 0.6516 0.6516  6 Br 2.69-2.88
Br6 0.2500 0.0933 0.4067  2 Ho 2.88
Br7 0.4166 0.7652 0.5824  1 Ho 2.69
Cs2 0.7500 0.4114 0.0886  12 Br 3.88-4.04
Br8 0.5834 0.2348 0.4176  1 Ho 2.69
Br9 0.0933 0.4067 0.2500  2 Ho 2.88
Br10 0.7500 0.9067 0.5933  2 Ho 2.88
Ho3 0.3484 0.3484 0.3484  6 Br 2.69-2.88
Br11 0.7348 0.0834 0.9176  1 Ho 2.69
Br12 0.4176 0.5834 0.2348  1 Ho 2.69
Br13 0.9176 0.7348 0.0834  1 Ho 2.69
Cs3 0.2500 0.5886 0.9114  12 Br 3.88-4.04
Br14 0.9067 0.5933 0.7500  2 Ho 2.88
Ho4 0.8484 0.8484 0.8484  6 Br 2.69-2.88
Cs4 0.4114 0.0886 0.7500  12 Br 3.88-4.04
Br15 0.0824 0.2652 0.9166  1 Ho 2.69
Cs5 0.9114 0.2500 0.5886  12 Br 3.88-4.04
Cs6 0.0886 0.7500 0.4114  12 Br 3.88-4.04
Br16 0.7652 0.5824 0.4166  1 Ho 2.69
Br17 0.5824 0.4166 0.7652  1 Ho 2.69
Br18 0.0834 0.9176 0.7348  1 Ho 2.69

Question: Among the records above, which one has the highest DFT formation energy?
Answer: Cs2HgBr4

What did the second record say?
Cs3Ho2Br9: optimized geometry, r²SCAN.

Output
DFT formation energy, eV/f.u.: -30.4
Calculated total energy, eV/cell: -581.572

a = 10.2488 Å, b = 10.2488 Å, c = 10.2488 Å
α = 83.64°, β = 83.64°, γ = 83.64°
With the nearest neighbours (Å) after each atom.
Fractional positions:
Br1 0.4067 0.2500 0.0933  2 Ho 2.88
Br2 0.5933 0.7500 0.9067  2 Ho 2.88
Ho1 0.1516 0.1516 0.1516  6 Br 2.69-2.88
Br3 0.2348 0.4176 0.5834  1 Ho 2.69
Br4 0.2652 0.9166 0.0824  1 Ho 2.69
Br5 0.9166 0.0824 0.2652  1 Ho 2.69
Cs1 0.5886 0.9114 0.2500  12 Br 3.88-4.04
Ho2 0.6516 0.6516 0.6516  6 Br 2.69-2.88
Br6 0.2500 0.0933 0.4067  2 Ho 2.88
Br7 0.4166 0.7652 0.5824  1 Ho 2.69
Cs2 0.7500 0.4114 0.0886  12 Br 3.88-4.04
Br8 0.5834 0.2348 0.4176  1 Ho 2.69
Br9 0.0933 0.4067 0.2500  2 Ho 2.88
Br10 0.7500 0.9067 0.5933  2 Ho 2.88
Ho3 0.3484 0.3484 0.3484  6 Br 2.69-2.88
Br11 0.7348 0.0834 0.9176  1 Ho 2.69
Br12 0.4176 0.5834 0.2348  1 Ho 2.69
Br13 0.9176 0.7348 0.0834  1 Ho 2.69
Cs3 0.2500 0.5886 0.9114  12 Br 3.88-4.04
Br14 0.9067 0.5933 0.7500  2 Ho 2.88
Ho4 0.8484 0.8484 0.8484  6 Br 2.69-2.88
Cs4 0.4114 0.0886 0.7500  12 Br 3.88-4.04
Br15 0.0824 0.2652 0.9166  1 Ho 2.69
Cs5 0.9114 0.2500 0.5886  12 Br 3.88-4.04
Cs6 0.0886 0.7500 0.4114  12 Br 3.88-4.04
Br16 0.7652 0.5824 0.4166  1 Ho 2.69
Br17 0.5824 0.4166 0.7652  1 Ho 2.69
Br18 0.0834 0.9176 0.7348  1 Ho 2.69

Question: Which value of calculated total energy does entry 2 give?
Answer: -581.572 eV/cell